{
  "formula": "Mg6GaSn",
  "functional": "PBE-GGA",
  "state": "relaxed",
  "magnetic_moment_mub_per_atom": 0.000,
  "ef_ev_per_atom": -0.060,
  "e_tot_ev_per_atom": -2.14,
  "lattice": [[5.1890, 0.0000, 0.0000], [0.0000, 6.3831, 0.0000], [0.0000, 0.0000, 10.7595]],
  "species": ["Mg", "Mg", "Mg", "Mg", "Mg", "Mg", "Mg", "Mg", "Mg", "Mg", "Mg", "Mg", "Ga", "Ga", "Sn", "Sn"],
  "fractional_positions": [[0.5000, 0.2499, 0.0836], [0.5000, 0.7501, 0.0836], [0.0000, 0.2536, 0.9163], [0.0000, 0.7464, 0.9163], [0.0000, 0.5000, 0.1660], [0.0000, 0.5000, 0.6679], [0.5000, 0.7499, 0.5836], [0.5000, 0.2501, 0.5836], [0.0000, 0.7536, 0.4163], [0.0000, 0.2464, 0.4163], [0.0000, 0.0000, 0.6660], [0.0000, 0.0000, 0.1679], [0.5000, 0.5000, 0.8329], [0.5000, 0.0000, 0.3329], [0.5000, 0.5000, 0.3334], [0.5000, 0.0000, 0.8334]]
}

{
  "formula": "Cs2AlTlH6",
  "functional": "PBE-GGA",
  "state": "relaxed",
  "energy_mp2020_ev_per_atom": -3.04,
  "magnetic_moment_mub_per_atom": 0.000,
  "space_group": "Fm-3m (225)",
  "ef_ev_per_atom": -0.211,
  "e_tot_ev_per_atom": -2.93,
  "lattice": [[0.0000, 4.4586, 4.4586], [4.4586, 0.0000, 4.4586], [4.4586, 4.4586, 0.0000]],
  "species": ["Cs", "Cs", "Al", "Tl", "H", "H", "H", "H", "H", "H"],
  "fractional_positions": [[0.2500, 0.2500, 0.2500], [0.7500, 0.7500, 0.7500], [0.5000, 0.5000, 0.5000], [0.0000, 0.0000, 0.0000], [0.2983, 0.7017, 0.7017], [0.2983, 0.7017, 0.2983], [0.7017, 0.2983, 0.7017], [0.7017, 0.7017, 0.2983], [0.2983, 0.2983, 0.7017], [0.7017, 0.2983, 0.2983]]
}

{
  "formula": "CsLiCl2",
  "functional": "PBE-GGA",
  "state": "relaxed",
  "energy_mp2020_ev_per_atom": -3.83,
  "space_group": "C2/c (15)",
  "ef_ev_per_atom": -2.203,
  "e_tot_ev_per_atom": -3.52,
  "lattice": [[6.9419, 3.6783, 0.0000], [-6.9419, 3.6783, 0.0000], [0.0000, 1.1685, 9.7951]],
  "species": ["Cs", "Cs", "Cs", "Cs", "Li", "Li", "Li", "Li", "Cl", "Cl", "Cl", "Cl", "Cl", "Cl", "Cl", "Cl"],
  "fractional_positions": [[0.1791, 0.3679, 0.4344], [0.6321, 0.8209, 0.0656], [0.8209, 0.6321, 0.5656], [0.3679, 0.1791, 0.9344], [0.9396, 0.5444, 0.1346], [0.4556, 0.0604, 0.3654], [0.0604, 0.4556, 0.8654], [0.5444, 0.9396, 0.6346], [0.3928, 0.6072, 0.7500], [0.6072, 0.3928, 0.2500], [0.0694, 0.3384, 0.0892], [0.6616, 0.9306, 0.4108], [0.9306, 0.6616, 0.9108], [0.3384, 0.0694, 0.5892], [0.1855, 0.8145, 0.2500], [0.8145, 0.1855, 0.7500]]
}

{
  "formula": "EuP5O14",
  "functional": "PBE-GGA",
  "state": "relaxed",
  "energy_mp2020_ev_per_atom": -8.03,
  "magnetic_moment_mub_per_atom": 0.300,
  "space_group": "P2_1/c (14)",
  "ef_ev_per_atom": -2.697,
  "e_tot_ev_per_atom": -7.55,
  "lattice": [[8.9435, 0.0000, 0.0000], [0.0000, 8.7093, 0.0000], [0.0000, 0.2067, 13.0137]],
  "species": ["Eu", "Eu", "Eu", "Eu", "P", "P", "P", "P", "P", "P", "P", "P", "P", "P", "P", "P", "P", "P", "P", "P", "P", "P", "P", "P", "O", "O", "O", "O", "O", "O", "O", "O", "O", "O", "O", "O", "O", "O", "O", "O", "O", "O", "O", "O", "O", "O", "O", "O", "O", "O", "O", "O", "O", "O", "O", "O", "O", "O", "O", "O", "O", "O", "O", "O", "O", "O", "O", "O", "O", "O", "O", "O", "O", "O", "O", "O", "O", "O", "O", "O"],
  "fractional_positions": [[0.6911, 0.7783, 0.0010], [0.3089, 0.2217, 0.9990], [0.8089, 0.7783, 0.5010], [0.1911, 0.2217, 0.4990], [0.7449, 0.1860, 0.9999], [0.5519, 0.2753, 0.6634], [0.4481, 0.7247, 0.3366], [0.4968, 0.4925, 0.1725], [0.9481, 0.2753, 0.1634], [0.4942, 0.9910, 0.2031], [0.5471, 0.2541, 0.3353], [0.7551, 0.1860, 0.4999], [0.0519, 0.7247, 0.8366], [0.9968, 0.5075, 0.3275], [0.4529, 0.7459, 0.6647], [0.2551, 0.8140, 0.0001], [0.0471, 0.7459, 0.1647], [0.2449, 0.8140, 0.5001], [0.0032, 0.4925, 0.6725], [0.0058, 0.9910, 0.7031], [0.9942, 0.0090, 0.2969], [0.9529, 0.2541, 0.8353], [0.5058, 0.0090, 0.7969], [0.5032, 0.5075, 0.8275], [0.5726, 0.0882, 0.2932], [0.1014, 0.8706, 0.7720], [0.3831, 0.4170, 0.8779], [0.6936, 0.2802, 0.3996], [0.8064, 0.2802, 0.8996], [0.8831, 0.5830, 0.6221], [0.0817, 0.6374, 0.2591], [0.6169, 0.5830, 0.1221], [0.4159, 0.5868, 0.2632], [0.6186, 0.9113, 0.1503], [0.6014, 0.1294, 0.7280], [0.3814, 0.0887, 0.8497], [0.5841, 0.4132, 0.7368], [0.8125, 0.2970, 0.0880], [0.0973, 0.2693, 0.1159], [0.6256, 0.5773, 0.8881], [0.3986, 0.8706, 0.2720], [0.0726, 0.9118, 0.2068], [0.1256, 0.4227, 0.6119], [0.1875, 0.7030, 0.9120], [0.9195, 0.2094, 0.5008], [0.1839, 0.9686, 0.9943], [0.1169, 0.4170, 0.3779], [0.3064, 0.7198, 0.6004], [0.1936, 0.7198, 0.1004], [0.3161, 0.9686, 0.4943], [0.6203, 0.9139, 0.8508], [0.3744, 0.4227, 0.1119], [0.4060, 0.2814, 0.3898], [0.9027, 0.7307, 0.8841], [0.9060, 0.7186, 0.1102], [0.0805, 0.7906, 0.4992], [0.8814, 0.9113, 0.6503], [0.4027, 0.2693, 0.6159], [0.5817, 0.3626, 0.2409], [0.0940, 0.2814, 0.8898], [0.4274, 0.9118, 0.7068], [0.8986, 0.1294, 0.2280], [0.5940, 0.7186, 0.6102], [0.3797, 0.0861, 0.1492], [0.6875, 0.2970, 0.5880], [0.9159, 0.4132, 0.2368], [0.1203, 0.0861, 0.6492], [0.3125, 0.7030, 0.4120], [0.6839, 0.0314, 0.5057], [0.9274, 0.0882, 0.7932], [0.1186, 0.0887, 0.3497], [0.5805, 0.2094, 0.0008], [0.0841, 0.5868, 0.7632], [0.4195, 0.7906, 0.9992], [0.8797, 0.9139, 0.3508], [0.8161, 0.0314, 0.0057], [0.8744, 0.5773, 0.3881], [0.5973, 0.7307, 0.3841], [0.4183, 0.6374, 0.7591], [0.9183, 0.3626, 0.7409]]
}

{
  "formula": "HfH14C4NOF5",
  "functional": "PBE-GGA",
  "state": "relaxed",
  "energy_mp2020_ev_per_atom": -5.72,
  "magnetic_moment_mub_per_atom": 0.000,
  "space_group": "Pbca (61)",
  "ef_ev_per_atom": -1.207,
  "e_tot_ev_per_atom": -5.60,
  "lattice": [[0.0000, -9.8425, 0.0000], [-10.0434, 0.0000, 0.0000], [0.0000, 0.0000, -20.0269]],
  "species": ["Hf", "Hf", "Hf", "Hf", "Hf", "Hf", "Hf", "Hf", "H", "H", "H", "H", "H", "H", "H", "H", "H", "H", "H", "H", "H", "H", "H", "H", "H", "H", "H", "H", "H", "H", "H", "H", "H", "H", "H", "H", "H", "H", "H", "H", "H", "H", "H", "H", "H", "H", "H", "H", "H", "H", "H", "H", "H", "H", "H", "H", "H", "H", "H", "H", "H", "H", "H", "H", "H", "H", "H", "H", "H", "H", "H", "H", "H", "H", "H", "H", "H", "H", "H", "H", "H", "H", "H", "H", "H", "H", "H", "H", "H", "H", "H", "H", "H", "H", "H", "H", "H", "H", "H", "H", "H", "H", "H", "H", "H", "H", "H", "H", "H", "H", "H", "H", "H", "H", "H", "H", "H", "H", "H", "H", "C", "C", "C", "C", "C", "C", "C", "C", "C", "C", "C", "C", "C", "C", "C", "C", "C", "C", "C", "C", "C", "C", "C", "C", "C", "C", "C", "C", "C", "C", "C", "C", "N", "N", "N", "N", "N", "N", "N", "N", "O", "O", "O", "O", "O", "O", "O", "O", "F", "F", "F", "F", "F", "F", "F", "F", "F", "F", "F", "F", "F", "F", "F", "F", "F", "F", "F", "F", "F", "F", "F", "F", "F", "F", "F", "F", "F", "F", "F", "F", "F", "F", "F", "F", "F", "F", "F", "F"],
  "fractional_positions": [[0.4038, 0.9618, 0.9246], [0.0962, 0.4618, 0.0754], [0.9038, 0.0382, 0.5754], [0.5962, 0.5382, 0.4246], [0.5962, 0.0382, 0.0754], [0.9038, 0.5382, 0.9246], [0.0962, 0.9618, 0.4246], [0.4038, 0.4618, 0.5754], [0.2696, 0.7375, 0.9979], [0.2304, 0.2375, 0.0021], [0.7696, 0.2625, 0.5021], [0.7304, 0.7625, 0.4979], [0.7304, 0.2625, 0.0021], [0.7696, 0.7625, 0.9979], [0.2304, 0.7375, 0.4979], [0.2696, 0.2375, 0.5021], [0.1894, 0.7607, 0.9309], [0.3106, 0.2607, 0.0691], [0.6894, 0.2393, 0.5691], [0.8106, 0.7393, 0.4309], [0.8106, 0.2393, 0.0691], [0.6894, 0.7393, 0.9309], [0.3106, 0.7607, 0.4309], [0.1894, 0.2607, 0.5691], [0.3669, 0.5855, 0.7582], [0.1331, 0.0855, 0.2418], [0.8669, 0.4145, 0.7418], [0.6331, 0.9145, 0.2582], [0.6331, 0.4145, 0.2418], [0.8669, 0.9145, 0.7582], [0.1331, 0.5855, 0.2582], [0.3669, 0.0855, 0.7418], [0.2956, 0.6274, 0.8388], [0.2044, 0.1274, 0.1612], [0.7956, 0.3726, 0.6612], [0.7044, 0.8726, 0.3388], [0.7044, 0.3726, 0.1612], [0.7956, 0.8726, 0.8388], [0.2044, 0.6274, 0.3388], [0.2956, 0.1274, 0.6612], [0.4737, 0.6487, 0.8240], [0.0263, 0.1487, 0.1760], [0.9737, 0.3513, 0.6760], [0.5263, 0.8513, 0.3240], [0.5263, 0.3513, 0.1760], [0.9737, 0.8513, 0.8240], [0.0263, 0.6487, 0.3240], [0.4737, 0.1487, 0.6760], [0.2695, 0.3669, 0.7673], [0.2305, 0.8669, 0.2327], [0.7695, 0.6331, 0.7327], [0.7305, 0.1331, 0.2673], [0.7305, 0.6331, 0.2327], [0.7695, 0.1331, 0.7673], [0.2305, 0.3669, 0.2673], [0.2695, 0.8669, 0.7327], [0.3101, 0.2636, 0.8384], [0.1899, 0.7636, 0.1616], [0.8101, 0.7364, 0.6616], [0.6899, 0.2364, 0.3384], [0.6899, 0.7364, 0.1616], [0.8101, 0.2364, 0.8384], [0.1899, 0.2636, 0.3384], [0.3101, 0.7636, 0.6616], [0.2003, 0.4057, 0.8484], [0.2997, 0.9057, 0.1516], [0.7003, 0.5943, 0.6516], [0.7997, 0.0943, 0.3484], [0.7997, 0.5943, 0.1516], [0.7003, 0.0943, 0.8484], [0.2997, 0.4057, 0.3484], [0.2003, 0.9057, 0.6516], [0.5063, 0.3969, 0.7448], [0.9937, 0.8969, 0.2552], [0.0063, 0.6031, 0.7552], [0.4937, 0.1031, 0.2448], [0.4937, 0.6031, 0.2552], [0.0063, 0.1031, 0.7448], [0.9937, 0.3969, 0.2448], [0.5063, 0.8969, 0.7552], [0.6185, 0.4548, 0.8100], [0.8815, 0.9548, 0.1900], [0.1185, 0.5452, 0.6900], [0.3815, 0.0452, 0.3100], [0.3815, 0.5452, 0.1900], [0.1185, 0.0452, 0.8100], [0.8815, 0.4548, 0.3100], [0.6185, 0.9548, 0.6900], [0.5436, 0.2906, 0.8151], [0.9564, 0.7906, 0.1849], [0.0436, 0.7094, 0.6849], [0.4564, 0.2094, 0.3151], [0.4564, 0.7094, 0.1849], [0.0436, 0.2094, 0.8151], [0.9564, 0.2906, 0.3151], [0.5436, 0.7906, 0.6849], [0.5294, 0.5089, 0.9179], [0.9706, 0.0089, 0.0821], [0.0294, 0.4911, 0.5821], [0.4706, 0.9911, 0.4179], [0.4706, 0.4911, 0.0821], [0.0294, 0.9911, 0.9179], [0.9706, 0.5089, 0.4179], [0.5294, 0.0089, 0.5821], [0.3507, 0.4888, 0.9351], [0.1493, 0.9888, 0.0649], [0.8507, 0.5112, 0.5649], [0.6493, 0.0112, 0.4351], [0.6493, 0.5112, 0.0649], [0.8507, 0.0112, 0.9351], [0.1493, 0.4888, 0.4351], [0.3507, 0.9888, 0.5649], [0.4577, 0.3452, 0.9242], [0.0423, 0.8452, 0.0758], [0.9577, 0.6548, 0.5758], [0.5423, 0.1548, 0.4242], [0.5423, 0.6548, 0.0758], [0.9577, 0.1548, 0.9242], [0.0423, 0.3452, 0.4242], [0.4577, 0.8452, 0.5758], [0.3842, 0.5884, 0.8123], [0.1158, 0.0884, 0.1877], [0.8842, 0.4116, 0.6877], [0.6158, 0.9116, 0.3123], [0.6158, 0.4116, 0.1877], [0.8842, 0.9116, 0.8123], [0.1158, 0.5884, 0.3123], [0.3842, 0.0884, 0.6877], [0.2876, 0.3648, 0.8213], [0.2124, 0.8648, 0.1787], [0.7876, 0.6352, 0.6787], [0.7124, 0.1352, 0.3213], [0.7124, 0.6352, 0.1787], [0.7876, 0.1352, 0.8213], [0.2124, 0.3648, 0.3213], [0.2876, 0.8648, 0.6787], [0.5295, 0.3933, 0.7983], [0.9705, 0.8933, 0.2017], [0.0295, 0.6067, 0.7017], [0.4705, 0.1067, 0.2983], [0.4705, 0.6067, 0.2017], [0.0295, 0.1067, 0.7983], [0.9705, 0.3933, 0.2983], [0.5295, 0.8933, 0.7017], [0.4389, 0.4483, 0.9088], [0.0611, 0.9483, 0.0912], [0.9389, 0.5517, 0.5912], [0.5611, 0.0517, 0.4088], [0.5611, 0.5517, 0.0912], [0.9389, 0.0517, 0.9088], [0.0611, 0.4483, 0.4088], [0.4389, 0.9483, 0.5912], [0.4100, 0.4489, 0.8353], [0.0900, 0.9489, 0.1647], [0.9100, 0.5511, 0.6647], [0.5900, 0.0511, 0.3353], [0.5900, 0.5511, 0.1647], [0.9100, 0.0511, 0.8353], [0.0900, 0.4489, 0.3353], [0.4100, 0.9489, 0.6647], [0.2636, 0.7972, 0.9586], [0.2364, 0.2972, 0.0414], [0.7636, 0.2028, 0.5414], [0.7364, 0.7028, 0.4586], [0.7364, 0.2028, 0.0414], [0.7636, 0.7028, 0.9586], [0.2364, 0.7972, 0.4586], [0.2636, 0.2972, 0.5414], [0.4406, 0.9144, 0.0277], [0.0594, 0.4144, 0.9723], [0.9406, 0.0856, 0.4723], [0.5594, 0.5856, 0.5277], [0.5594, 0.0856, 0.9723], [0.9406, 0.5856, 0.0277], [0.0594, 0.9144, 0.5277], [0.4406, 0.4144, 0.4723], [0.4709, 0.0862, 0.8541], [0.0291, 0.5862, 0.1459], [0.9709, 0.9138, 0.6459], [0.5291, 0.4138, 0.3541], [0.5291, 0.9138, 0.1459], [0.9709, 0.4138, 0.8541], [0.0291, 0.0862, 0.3541], [0.4709, 0.5862, 0.6459], [0.2862, 0.9075, 0.8474], [0.2138, 0.4075, 0.1526], [0.7862, 0.0925, 0.6526], [0.7138, 0.5925, 0.3474], [0.7138, 0.0925, 0.1526], [0.7862, 0.5925, 0.8474], [0.2138, 0.9075, 0.3474], [0.2862, 0.4075, 0.6526], [0.2662, 0.0957, 0.9562], [0.2338, 0.5957, 0.0438], [0.7662, 0.9043, 0.5438], [0.7338, 0.4043, 0.4562], [0.7338, 0.9043, 0.0438], [0.7662, 0.4043, 0.9562], [0.2338, 0.0957, 0.4562], [0.2662, 0.5957, 0.5438], [0.5508, 0.8288, 0.9029], [0.9492, 0.3288, 0.0971], [0.0508, 0.1712, 0.5971], [0.4492, 0.6712, 0.4029], [0.4492, 0.1712, 0.0971], [0.0508, 0.6712, 0.9029], [0.9492, 0.8288, 0.4029], [0.5508, 0.3288, 0.5971]]
}

{
  "formula": "Ho2CF2",
  "functional": "PBE-GGA",
  "state": "relaxed",
  "energy_mp2020_ev_per_atom": -7.05,
  "space_group": "P-3m1 (164)",
  "ef_ev_per_atom": -2.608,
  "e_tot_ev_per_atom": -6.87,
  "lattice": [[-1.8210, -3.1541, 0.0000], [-1.8210, 3.1541, 0.0000], [0.0000, 0.0000, -6.4210]],
  "species": ["Ho", "Ho", "C", "F", "F"],
  "fractional_positions": [[0.3333, 0.6667, 0.7901], [0.6667, 0.3333, 0.2099], [0.0000, 0.0000, 0.0000], [0.6667, 0.3333, 0.6173], [0.3333, 0.6667, 0.3827]]
}